No. 1
{"formula": "LuAl8Fe4", "functional": "r²SCAN", "state": "optimized geometry", "ef_ev_per_atom": -0.38, "spacegroup": "C2/m, No. 12", "cell": [[4.991, -4.337, 0.000], [4.991, 4.337, 0.000], [-2.452, 0.000, 4.305]], "species": ["Lu", "Al", "Al", "Al", "Al", "Al", "Al", "Al", "Al", "Fe", "Fe", "Fe", "Fe"], "frac_coords": [[0.000, 0.000, 0.000], [0.219, 0.219, 0.719], [0.219, 0.781, 0.500], [0.341, 0.341, 0.340], [0.341, 0.659, 0.000], [0.659, 0.341, 0.000], [0.659, 0.659, 0.660], [0.781, 0.219, 0.500], [0.781, 0.781, 0.281], [0.000, 0.500, 0.000], [0.000, 0.500, 0.500], [0.500, 0.000, 0.000], [0.500, 0.000, 0.500]]}

***

No. 2
{"formula": "PaAgTe2", "functional": "r²SCAN", "state": "optimized geometry", "ef_ev_per_atom": -0.44, "spacegroup": "Fm-3m, No. 225", "cell": [[0.000, 3.746, 3.746], [3.746, 0.000, 3.746], [3.746, 3.746, 0.000]], "species": ["Pa", "Ag", "Te", "Te"], "frac_coords": [[0.000, 0.000, 0.000], [0.500, 0.500, 0.500], [0.250, 0.250, 0.250], [0.750, 0.750, 0.750]]}

***

No. 3
{"formula": "UMo6S8", "functional": "r²SCAN", "state": "optimized geometry", "ef_ev_per_atom": -0.99, "spacegroup": "P-1, No. 2", "cell": [[6.482, 0.000, 0.000], [0.109, 6.485, 0.000], [0.105, 0.122, 6.491]], "species": ["U", "Mo", "Mo", "Mo", "Mo", "Mo", "Mo", "S", "S", "S", "S", "S", "S", "S", "S"], "frac_coords": [[0.000, 0.000, 0.000], [0.227, 0.562, 0.421], [0.421, 0.227, 0.562], [0.438, 0.579, 0.774], [0.562, 0.421, 0.226], [0.579, 0.773, 0.438], [0.773, 0.438, 0.579], [0.127, 0.369, 0.754], [0.241, 0.241, 0.242], [0.246, 0.873, 0.630], [0.369, 0.753, 0.126], [0.631, 0.247, 0.874], [0.754, 0.127, 0.370], [0.759, 0.759, 0.758], [0.873, 0.631, 0.246]]}

***

No. 4
{"formula": "YFeB4", "functional": "r²SCAN", "state": "optimized geometry", "ef_ev_per_atom": -0.58, "spacegroup": "Pbam, No. 55", "cell": [[5.895, 0.000, 0.000], [0.000, 11.415, 0.000], [0.000, 0.000, 3.417]], "species": ["Y", "Y", "Y", "Y", "Fe", "Fe", "Fe", "Fe", "B", "B", "B", "B", "B", "B", "B", "B", "B", "B", "B", "B", "B", "B", "B", "B"], "frac_coords": [[0.127, 0.150, 0.000], [0.373, 0.650, 0.000], [0.627, 0.350, 0.000], [0.873, 0.850, 0.000], [0.128, 0.416, 0.000], [0.372, 0.916, 0.000], [0.628, 0.084, 0.000], [0.872, 0.584, 0.000], [0.023, 0.690, 0.500], [0.112, 0.547, 0.500], [0.139, 0.967, 0.500], [0.219, 0.817, 0.500], [0.281, 0.317, 0.500], [0.361, 0.467, 0.500], [0.388, 0.047, 0.500], [0.477, 0.190, 0.500], [0.523, 0.810, 0.500], [0.612, 0.953, 0.500], [0.639, 0.533, 0.500], [0.719, 0.683, 0.500], [0.781, 0.183, 0.500], [0.861, 0.033, 0.500], [0.888, 0.453, 0.500], [0.977, 0.310, 0.500]]}

***

No. 5
{"formula": "Zn4CoO5", "functional": "r²SCAN", "state": "optimized geometry", "ef_ev_per_atom": -1.53, "spacegroup": "P3m1, No. 156", "cell": [[3.239, 0.000, 0.000], [-1.619, 2.805, 0.000], [0.000, 0.000, 26.109]], "species": ["Zn", "Zn", "Zn", "Zn", "Zn", "Zn", "Zn", "Zn", "Co", "Co", "O", "O", "O", "O", "O", "O", "O", "O", "O", "O"], "frac_coords": [[0.000, 0.000, 0.000], [0.000, 0.000, 0.199], [0.000, 0.000, 0.399], [0.000, 0.000, 0.599], [0.000, 0.000, 0.800], [0.333, 0.667, 0.499], [0.333, 0.667, 0.699], [0.333, 0.667, 0.900], [0.333, 0.667, 0.100], [0.333, 0.667, 0.299], [0.000, 0.000, 0.124], [0.000, 0.000, 0.323], [0.000, 0.000, 0.523], [0.000, 0.000, 0.724], [0.000, 0.000, 0.924], [0.333, 0.667, 0.024], [0.333, 0.667, 0.223], [0.333, 0.667, 0.423], [0.333, 0.667, 0.623], [0.333, 0.667, 0.824]]}

***

No. 6
{"formula": "KTi12Se16", "functional": "r²SCAN", "state": "optimized geometry", "ef_ev_per_atom": -1.38, "spacegroup": "P-1, No. 2", "cell": [[7.199, 0.000, 0.000], [0.001, 9.906, 0.000], [3.599, 4.951, 8.581]], "species": ["K", "Ti", "Ti", "Ti", "Ti", "Ti", "Ti", "Ti", "Ti", "Ti", "Ti", "Ti", "Ti", "Se", "Se", "Se", "Se", "Se", "Se", "Se", "Se", "Se", "Se", "Se", "Se", "Se", "Se", "Se", "Se"], "frac_coords": [[0.000, 0.000, 0.000], [0.119, 0.133, 0.509], [0.192, 0.642, 0.867], [0.199, 0.509, 0.357], [0.306, 0.491, 0.642], [0.309, 0.357, 0.134], [0.378, 0.866, 0.490], [0.622, 0.134, 0.510], [0.691, 0.643, 0.866], [0.694, 0.509, 0.358], [0.801, 0.491, 0.643], [0.808, 0.358, 0.133], [0.881, 0.867, 0.491], [0.041, 0.666, 0.667], [0.051, 0.305, 0.647], [0.150, 0.353, 0.952], [0.223, 0.048, 0.303], [0.278, 0.952, 0.695], [0.351, 0.648, 0.048], [0.449, 0.697, 0.351], [0.458, 0.332, 0.334], [0.542, 0.668, 0.666], [0.551, 0.303, 0.649], [0.649, 0.352, 0.952], [0.722, 0.048, 0.305], [0.777, 0.952, 0.697], [0.850, 0.647, 0.048], [0.949, 0.695, 0.353], [0.959, 0.334, 0.333]]}

***

No. 7
{"formula": "Ti5O8", "functional": "r²SCAN", "state": "optimized geometry", "ef_ev_per_atom": -3.18, "spacegroup": "P1, No. 1", "cell": [[5.466, 0.000, 0.000], [0.766, 8.975, 0.000], [0.759, 3.275, 8.365]], "species": ["Ti", "Ti", "Ti", "Ti", "Ti", "Ti", "Ti", "Ti", "Ti", "Ti", "Ti", "Ti", "Ti", "Ti", "Ti", "O", "O", "O", "O", "O", "O", "O", "O", "O", "O", "O", "O", "O", "O", "O", "O", "O", "O", "O", "O", "O", "O", "O", "O"], "frac_coords": [[0.000, 0.000, 0.000], [0.001, 0.253, 0.251], [0.003, 0.753, 0.752], [0.106, 0.173, 0.647], [0.109, 0.903, 0.410], [0.111, 0.646, 0.171], [0.117, 0.406, 0.899], [0.495, 0.252, 0.751], [0.496, 0.753, 0.251], [0.498, 0.003, 0.504], [0.500, 0.505, 0.000], [0.614, 0.904, 0.906], [0.616, 0.157, 0.156], [0.624, 0.417, 0.408], [0.630, 0.651, 0.646], [0.143, 0.346, 0.720], [0.146, 0.861, 0.206], [0.149, 0.958, 0.611], [0.154, 0.454, 0.108], [0.307, 0.045, 0.858], [0.308, 0.112, 0.298], [0.310, 0.612, 0.794], [0.331, 0.544, 0.346], [0.455, 0.707, 0.045], [0.460, 0.800, 0.453], [0.466, 0.209, 0.545], [0.466, 0.299, 0.953], [0.630, 0.452, 0.612], [0.649, 0.859, 0.705], [0.650, 0.956, 0.108], [0.658, 0.364, 0.203], [0.797, 0.616, 0.288], [0.805, 0.048, 0.359], [0.806, 0.108, 0.797], [0.808, 0.547, 0.859], [0.951, 0.720, 0.547], [0.956, 0.289, 0.449], [0.963, 0.793, 0.958], [0.966, 0.203, 0.047]]}

***

No. 8
{"formula": "Na2TlBi", "functional": "r²SCAN", "state": "optimized geometry", "ef_ev_per_atom": -0.37, "spacegroup": "Fm-3m, No. 225", "cell": [[0.000, 3.816, 3.816], [3.816, 0.000, 3.816], [3.816, 3.816, 0.000]], "species": ["Na", "Na", "Tl", "Bi"], "frac_coords": [[0.250, 0.250, 0.250], [0.750, 0.750, 0.750], [0.000, 0.000, 0.000], [0.500, 0.500, 0.500]]}

***

No. 9
{"formula": "Zr3Te", "functional": "r²SCAN", "state": "optimized geometry", "ef_ev_per_atom": -0.58, "spacegroup": "I-4, No. 82", "cell": [[-5.699, 5.699, 2.831], [5.699, -5.699, 2.831], [5.699, 5.699, -2.831]], "species": ["Zr", "Zr", "Zr", "Zr", "Zr", "Zr", "Zr", "Zr", "Zr", "Zr", "Zr", "Zr", "Te", "Te", "Te", "Te"], "frac_coords": [[0.077, 0.046, 0.597], [0.120, 0.460, 0.622], [0.186, 0.371, 0.980], [0.392, 0.206, 0.020], [0.449, 0.480, 0.403], [0.503, 0.880, 0.340], [0.520, 0.923, 0.969], [0.540, 0.163, 0.660], [0.629, 0.608, 0.815], [0.794, 0.814, 0.185], [0.837, 0.497, 0.378], [0.954, 0.551, 0.031], [0.055, 0.735, 0.744], [0.265, 0.009, 0.321], [0.689, 0.945, 0.679], [0.991, 0.311, 0.256]]}

***

No. 10
{"formula": "Ba4YCu3O9", "functional": "r²SCAN", "state": "optimized geometry", "ef_ev_per_atom": -2.25, "spacegroup": "Pm-3n, No. 223", "cell": [[8.093, 0.000, 0.000], [0.000, 8.093, 0.000], [0.000, 0.000, 8.093]], "species": ["Ba", "Ba", "Ba", "Ba", "Ba", "Ba", "Ba", "Ba", "Y", "Y", "Cu", "Cu", "Cu", "Cu", "Cu", "Cu", "O", "O", "O", "O", "O", "O", "O", "O", "O", "O", "O", "O", "O", "O", "O", "O", "O", "O"], "frac_coords": [[0.250, 0.250, 0.250], [0.250, 0.250, 0.750], [0.250, 0.750, 0.250], [0.250, 0.750, 0.750], [0.750, 0.250, 0.250], [0.750, 0.250, 0.750], [0.750, 0.750, 0.250], [0.750, 0.750, 0.750], [0.000, 0.000, 0.000], [0.500, 0.500, 0.500], [0.000, 0.000, 0.500], [0.000, 0.500, 0.000], [0.000, 0.500, 0.500], [0.500, 0.000, 0.000], [0.500, 0.000, 0.500], [0.500, 0.500, 0.000], [0.000, 0.000, 0.274], [0.000, 0.000, 0.726], [0.000, 0.250, 0.500], [0.000, 0.274, 0.000], [0.000, 0.726, 0.000], [0.000, 0.750, 0.500], [0.226, 0.500, 0.500], [0.250, 0.500, 0.000], [0.274, 0.000, 0.000], [0.500, 0.000, 0.250], [0.500, 0.000, 0.750], [0.500, 0.226, 0.500], [0.500, 0.500, 0.226], [0.500, 0.500, 0.774], [0.500, 0.774, 0.500], [0.726, 0.000, 0.000], [0.750, 0.500, 0.000], [0.774, 0.500, 0.500]]}

***

No. 11
{"formula": "Yb2Si3Pt3", "functional": "r²SCAN", "state": "optimized geometry", "ef_ev_per_atom": 0.38, "spacegroup": "P4/mmm, No. 123", "cell": [[2.813, 0.000, 0.000], [0.000, 2.813, 0.000], [0.000, 0.000, 20.155]], "species": ["Yb", "Yb", "Si", "Si", "Si", "Pt", "Pt", "Pt"], "frac_coords": [[0.000, 0.000, 0.246], [0.000, 0.000, 0.754], [0.000, 0.000, 0.000], [0.000, 0.000, 0.385], [0.000, 0.000, 0.615], [0.000, 0.000, 0.114], [0.000, 0.000, 0.500], [0.000, 0.000, 0.886]]}

***

No. 12
{"formula": "SrTiO3", "functional": "r²SCAN", "state": "optimized geometry", "ef_ev_per_atom": -3.45, "spacegroup": "I4/mcm, No. 140", "cell": [[-2.766, 2.766, 3.915], [2.766, -2.766, 3.915], [2.766, 2.766, -3.915]], "species": ["Sr", "Sr", "Ti", "Ti", "O", "O", "O", "O", "O", "O"], "frac_coords": [[0.250, 0.750, 0.500], [0.750, 0.250, 0.500], [0.000, 0.000, 0.000], [0.500, 0.500, 0.000], [0.241, 0.741, 0.982], [0.250, 0.250, 0.000], [0.259, 0.241, 0.500], [0.741, 0.759, 0.500], [0.750, 0.750, 0.000], [0.759, 0.259, 0.018]]}

***

No. 13
{"formula": "Ca2MgCd", "functional": "r²SCAN", "state": "optimized geometry", "ef_ev_per_atom": -0.22, "spacegroup": "Fm-3m, No. 225", "cell": [[0.000, 3.884, 3.884], [3.884, 0.000, 3.884], [3.884, 3.884, 0.000]], "species": ["Ca", "Ca", "Mg", "Cd"], "frac_coords": [[0.250, 0.250, 0.250], [0.750, 0.750, 0.750], [0.000, 0.000, 0.000], [0.500, 0.500, 0.500]]}

***

No. 14
{"formula": "Zn9Fe4", "functional": "r²SCAN", "state": "optimized geometry", "ef_ev_per_atom": -0.02, "spacegroup": "I-43m, No. 217", "cell": [[-4.443, 4.443, 4.443], [4.443, -4.443, 4.443], [4.443, 4.443, -4.443]], "species": ["Zn", "Zn", "Zn", "Zn", "Zn", "Zn", "Zn", "Zn", "Zn", "Zn", "Zn", "Zn", "Zn", "Zn", "Zn", "Zn", "Zn", "Zn", "Fe", "Fe", "Fe", "Fe", "Fe", "Fe", "Fe", "Fe"], "frac_coords": [[0.000, 0.357, 0.357], [0.000, 0.358, 0.748], [0.000, 0.643, 0.643], [0.000, 0.748, 0.358], [0.252, 0.252, 0.610], [0.252, 0.610, 0.252], [0.357, 0.000, 0.357], [0.357, 0.357, 0.000], [0.358, 0.000, 0.748], [0.358, 0.748, 0.000], [0.390, 0.642, 0.642], [0.610, 0.252, 0.252], [0.642, 0.390, 0.642], [0.642, 0.642, 0.390], [0.643, 0.000, 0.643], [0.643, 0.643, 0.000], [0.748, 0.000, 0.358], [0.748, 0.358, 0.000], [0.000, 0.000, 0.209], [0.000, 0.000, 0.679], [0.000, 0.209, 0.000], [0.000, 0.679, 0.000], [0.209, 0.000, 0.000], [0.321, 0.321, 0.321], [0.679, 0.000, 0.000], [0.791, 0.791, 0.791]]}

***

No. 15
{"formula": "La2Pd2O5", "functional": "r²SCAN", "state": "optimized geometry", "ef_ev_per_atom": -2.44, "spacegroup": "P4_2/m, No. 84", "cell": [[6.704, 0.000, 0.000], [0.000, 6.704, 0.000], [0.000, 0.000, 5.623]], "species": ["La", "La", "La", "La", "Pd", "Pd", "Pd", "Pd", "O", "O", "O", "O", "O", "O", "O", "O", "O", "O"], "frac_coords": [[0.107, 0.737, 0.000], [0.263, 0.107, 0.500], [0.737, 0.893, 0.500], [0.893, 0.263, 0.000], [0.310, 0.595, 0.500], [0.405, 0.310, 0.000], [0.595, 0.690, 0.000], [0.690, 0.405, 0.500], [0.000, 0.000, 0.250], [0.000, 0.000, 0.750], [0.201, 0.405, 0.242], [0.201, 0.405, 0.758], [0.405, 0.799, 0.258], [0.405, 0.799, 0.742], [0.595, 0.201, 0.258], [0.595, 0.201, 0.742], [0.799, 0.595, 0.242], [0.799, 0.595, 0.758]]}

***

No. 16
{"formula": "V4OF11", "functional": "r²SCAN", "state": "optimized geometry", "de_polymorph_kj_per_mol_atoms": 0.0, "ef_ev_per_atom": -3.18, "spacegroup": "P-1, No. 2", "cell": [[5.037, 0.000, 0.000], [2.492, 4.693, 0.000], [2.421, -0.798, 16.696]], "species": ["V", "V", "V", "V", "V", "V", "V", "V", "O", "O", "F", "F", "F", "F", "F", "F", "F", "F", "F", "F", "F", "F", "F", "F", "F", "F", "F", "F", "F", "F", "F", "F"], "frac_coords": [[0.000, 0.000, 0.000], [0.000, 0.500, 0.500], [0.253, 0.381, 0.130], [0.254, 0.879, 0.625], [0.485, 0.734, 0.250], [0.515, 0.266, 0.750], [0.746, 0.121, 0.375], [0.747, 0.619, 0.870], [0.338, 0.545, 0.212], [0.662, 0.455, 0.788], [0.176, 0.402, 0.840], [0.183, 0.211, 0.036], [0.183, 0.718, 0.533], [0.189, 0.901, 0.344], [0.238, 0.682, 0.060], [0.254, 0.566, 0.686], [0.256, 0.072, 0.191], [0.257, 0.181, 0.562], [0.305, 0.351, 0.407], [0.321, 0.040, 0.716], [0.322, 0.843, 0.907], [0.678, 0.157, 0.093], [0.679, 0.960, 0.284], [0.695, 0.649, 0.593], [0.743, 0.819, 0.438], [0.744, 0.928, 0.809], [0.746, 0.434, 0.314], [0.762, 0.318, 0.940], [0.811, 0.099, 0.656], [0.817, 0.282, 0.467], [0.817, 0.789, 0.964], [0.824, 0.598, 0.160]]}